# CsRb

A relaxed structure of CsRb (PBE, Materials Project).

Lattice parameters (Å, degrees): 6.0121 8.4228 8.0977 90.00 90.00 90.00
Space group Cmmm (No. 65)
Asymmetric unit:
Cs  0.0000  0.0000  0.0000 [2 per cell]
Rb  0.0000  0.5000  0.5000 [2 per cell]

The value obtained for the volume is 410.1 Å³ per cell. As for the crystal system: orthorhombic. Its energy is -3.64 eV per cell. The calculation puts the formation energy from the elements at 0.06 eV/f.u.

---

# CsNbO3

A relaxed structure of CsNbO3 (PBE, Materials Project).

Lattice parameters (Å, degrees): 5.2061 16.1965 9.4149 90.00 93.05 90.00
Space group P2_1/c (No. 14)
Asymmetric unit:
Cs  0.0963  0.2424  0.2065 [4 per cell]
Cs  0.3864  0.6063  0.0123 [4 per cell]
Nb  0.0286  0.5022  0.3158 [4 per cell]
Nb  0.4615  0.6045  0.5529 [4 per cell]
O  0.1054  0.0454  0.3501 [4 per cell]
O  0.1730  0.6081  0.6750 [4 per cell]
O  0.2479  0.6008  0.3711 [4 per cell]
O  0.2494  0.0361  0.0405 [4 per cell]
O  0.3214  0.0646  0.7662 [4 per cell]
O  0.4381  0.2122  0.9554 [4 per cell]

The value obtained for the volume is 792.7 Å³ per cell. As for the crystal system: monoclinic. Its energy is -303.62 eV per cell. The calculation puts the formation energy from the elements at -14.17 eV/f.u.

---

# TbGaO3

A relaxed structure of TbGaO3 (PBE, Materials Project).

Lattice parameters (Å, degrees): 5.6040 7.6596 5.3210 90.00 90.00 90.00
Space group Pnma (No. 62)
Asymmetric unit:
Tb  0.0662  0.2500  0.0191 [4 per cell]
Ga  0.0000  0.0000  0.5000 [4 per cell]
O  0.0374  0.7500  0.3912 [4 per cell]
O  0.1980  0.5560  0.8036 [8 per cell]

The value obtained for the volume is 228.4 Å³ per cell. As for the crystal system: orthorhombic. Its energy is -144.31 eV per cell. The calculation puts the formation energy from the elements at -15.63 eV/f.u.

---

# K2TeI2O12

A relaxed structure of K2TeI2O12 (PBE, Materials Project).

Lattice parameters (Å, degrees): 6.5642 6.5642 25.7135 90.00 90.00 120.00
Space group R-3 (No. 148, hexagonal axes)
Asymmetric unit:
K  0.0000  0.0000  0.0949 [6 per cell]
Te  0.0000  0.0000  0.5000 [3 per cell]
I  0.0000  0.0000  0.3203 [6 per cell]
O  0.0053  0.2544  0.7110 [18 per cell]
O  0.0209  0.7528  0.4637 [18 per cell]

The value obtained for the volume is 959.5 Å³ per cell. As for the crystal system: trigonal. Its energy is -220.23 eV per cell. The calculation puts the formation energy from the elements at -13.87 eV/f.u.